No. 1
Zn5Cl2O9 | the Materials Project database | GGA-PBE | relaxed; total DFT energy (no corrections) = -3.645 eV per atom
1.0
-3.154 -7.473 0.519
2.781 -7.287 2.286
-1.644 -5.158 6.063
Zn Cl O
5 2 9
direct
0.500 0.500 0.000
0.000 0.500 0.500
0.500 0.000 0.500
0.923 0.923 0.923
0.077 0.077 0.077
0.821 0.821 0.821
0.179 0.179 0.179
0.125 0.613 0.125
0.125 0.125 0.613
0.613 0.125 0.125
0.875 0.387 0.875
0.875 0.875 0.387
0.387 0.875 0.875
0.620 0.620 0.620
0.380 0.380 0.380
0.500 0.500 0.500

=====

No. 2
Re2OsSe4Cl2 | the Materials Project database | GGA-PBE | relaxed; total DFT energy (no corrections) = -6.468 eV per atom
1.0
-9.076 0.000 0.000
4.072 8.124 0.000
-0.395 -0.941 -12.135
Re Os Se Cl
8 4 16 8
direct
0.349 0.368 0.391
0.651 0.632 0.609
0.418 0.327 0.591
0.582 0.673 0.409
0.123 0.039 0.870
0.877 0.961 0.130
0.173 0.989 0.072
0.827 0.011 0.928
0.655 0.429 0.441
0.345 0.571 0.559
0.094 0.231 0.037
0.906 0.769 0.963
0.368 0.245 0.979
0.632 0.755 0.021
0.578 0.470 0.252
0.422 0.530 0.748
0.041 0.266 0.843
0.959 0.734 0.157
0.810 0.194 0.090
0.190 0.806 0.910
0.871 0.725 0.462
0.129 0.275 0.538
0.713 0.391 0.634
0.287 0.609 0.366
0.140 0.176 0.230
0.860 0.824 0.770
0.426 0.139 0.427
0.574 0.861 0.573
0.391 0.971 0.162
0.609 0.029 0.838
0.300 0.081 0.702
0.700 0.919 0.298
0.208 0.520 0.084
0.792 0.480 0.916
0.854 0.346 0.368
0.146 0.654 0.632